Record 1
Sr3UO6: optimized geometry, GGA-PBE.

Cell: 6.0530 6.2842 10.5807 Å, 90.00 124.56 90.00°
Space group P2_1/c (No. 14)
Unique sites:
1 Sr 0.0000 0.0000 0.0000 x2
2 Sr 0.2283 0.0488 0.7428 x4
3 U 0.5000 0.0000 0.5000 x2
4 O 0.1683 0.1764 0.4502 x4
5 O 0.2499 0.7272 0.4233 x4
6 O 0.3938 0.0625 0.2759 x4

DFT total energy	-7.727	eV/atom
E_form	-3535	meV/atom
V	16.57	Å³ per atom

***

Record 2
SmYB12: optimized geometry, GGA-PBE.

Cell: 4.1099 4.1099 8.2240 Å, 90.00 90.00 90.00°
Space group P4/mmm (No. 123)
Unique sites:
1 Sm 0.0000 0.0000 0.0000 x1
2 Y 0.0000 0.0000 0.5000 x1
3 B 0.1993 0.5000 0.2503 x8
4 B 0.5000 0.5000 0.0997 x2
5 B 0.5000 0.5000 0.4006 x2

total magnetic moment	0.0	μB/f.u.
DFT total energy	-6.950	eV/atom
E_form	-426	meV/atom
V	9.92	Å³ per atom

***

Record 3
BaP2: optimized geometry, GGA-PBE.

Cell: 6.4440 12.2764 7.7945 Å, 90.00 126.71 90.00°
Space group P2_1/c (No. 14)
Unique sites:
1 Ba 0.0000 0.0000 0.0000 x2
2 Ba 0.2721 0.1619 0.6679 x4
3 P 0.1795 0.7051 0.3471 x4
4 P 0.3206 0.6273 0.9675 x4
5 P 0.4325 0.6075 0.3037 x4

DFT total energy	-5.053	eV/atom
E_form	-804	meV/atom
V	27.46	Å³ per atom

***

Record 4
PuReB4: optimized geometry, GGA-PBE.

Cell: 5.9920 11.6228 3.5948 Å, 90.00 90.00 90.00°
Space group Pbam (No. 55)
Unique sites:
1 Pu 0.1258 0.1502 0.0000 x4
2 Re 0.1349 0.4093 0.0000 x4
3 B 0.0272 0.6919 0.5000 x4
4 B 0.1151 0.5469 0.5000 x4
5 B 0.1350 0.9683 0.5000 x4
6 B 0.2132 0.8132 0.5000 x4

DFT total energy	-9.418	eV/atom
E_form	-513	meV/atom
V	10.43	Å³ per atom

***

Record 5
LaUO4: optimized geometry, GGA-PBE.

Cell: 3.9356 3.9356 18.8624 Å, 90.00 90.00 120.00°
Space group R-3m (No. 166, hexagonal axes)
Unique sites:
1 La 0.0000 0.0000 0.0000 x3
2 U 0.0000 0.0000 0.5000 x3
3 O 0.0000 0.0000 0.1338 x6
4 O 0.0000 0.0000 0.3864 x6

DFT total energy	-9.463	eV/atom
E_form	-3918	meV/atom
V	14.06	Å³ per atom

***

Record 6
BaCuSe4O12: optimized geometry, GGA-PBE.

Cell: 5.4484 5.4484 7.5860 Å, 90.00 90.00 90.00°
Space group P4/mmm (No. 123)
Unique sites:
1 Ba 0.0000 0.0000 0.0000 x1
2 Cu 0.5000 0.5000 0.5000 x1
3 Se 0.0000 0.5000 0.2586 x4
4 O 0.0000 0.5000 0.0000 x2
5 O 0.0000 0.5000 0.5000 x2
6 O 0.2612 0.2612 0.2659 x8

total magnetic moment	0.5	μB/f.u.
DFT total energy	-4.768	eV/atom
E_form	-817	meV/atom
V	12.51	Å³ per atom

***

Record 7
EuGaSi: optimized geometry, GGA-PBE.

Cell: 4.1744 4.1744 4.4817 Å, 90.00 90.00 120.00°
Space group P-6m2 (No. 187)
Unique sites:
1 Eu 0.0000 0.0000 0.0000 x1
2 Ga 0.3333 0.6667 0.5000 x1
3 Si 0.6667 0.3333 0.5000 x1

DFT total energy	-6.790	eV/atom
E_form	-530	meV/atom
V	22.54	Å³ per atom

***

Record 8
NaNdGa4S8: optimized geometry, GGA-PBE.

Cell: 12.2717 20.4090 20.4861 Å, 90.00 90.00 90.00°
Space group Fddd (No. 70, origin choice 2)
Unique sites:
1 Na 0.1250 0.1250 0.3713 x16
2 Nd 0.1250 0.1250 0.1250 x8
3 Nd 0.1250 0.1250 0.6250 x8
4 Ga 0.0863 0.3045 0.2508 x32
5 Ga 0.1244 0.2614 0.7526 x32
6 S 0.0017 0.3440 0.4958 x32
7 S 0.0052 0.0025 0.0847 x32
8 S 0.0056 0.0032 0.5844 x32
9 S 0.0162 0.0813 0.7496 x32

total magnetic moment	0.0	μB/f.u.
DFT total energy	-4.687	eV/atom
E_form	-1311	meV/atom
V	22.91	Å³ per atom